Entry 1:
Computed, not measured: crystalline SrCa7FeCo7O24 at its relaxed geometry at the PBE+U level of DFT.

Calculated values
DFT total energy in eV for the cell shown: -240.98
Energy of formation in eV/atom: -1.962
Energy with MP2020 corrections in eV/atom: -6.78

Geometry as POSCAR:
```
SrCa7FeCo7O24
1.0
5.3650 3.0975 4.3836
-5.3650 3.0975 4.3836
0.0000 -6.1950 4.3836
Sr Ca Fe Co O
1 7 1 7 24
Direct
0.0000 0.0000 0.0000
0.0014 0.0014 0.4974
0.0014 0.4974 0.0014
0.0016 0.4975 0.4975
0.4974 0.0014 0.0014
0.4975 0.0016 0.4975
0.4975 0.4975 0.0016
0.4977 0.4977 0.4977
0.2500 0.2500 0.2500
0.2502 0.2502 0.7488
0.2502 0.7488 0.2502
0.2507 0.7484 0.7484
0.7484 0.2507 0.7484
0.7484 0.7484 0.2507
0.7488 0.2502 0.2502
0.7485 0.7485 0.7485
0.0022 0.2523 0.7464
0.0022 0.7464 0.2523
0.2506 0.2506 0.5037
0.2505 0.4968 0.7488
0.2506 0.5037 0.2506
0.2505 0.7488 0.4968
0.2523 0.0022 0.7464
0.2523 0.2523 0.9951
0.2523 0.7464 0.0022
0.2523 0.9951 0.2523
0.4968 0.2505 0.7488
0.4968 0.7488 0.2505
0.5015 0.7486 0.7486
0.5037 0.2506 0.2506
0.7464 0.0022 0.2523
0.7464 0.2523 0.0022
0.7465 0.7465 0.9972
0.7465 0.9972 0.7465
0.7488 0.2505 0.4968
0.7488 0.4968 0.2505
0.7486 0.5015 0.7486
0.7486 0.7486 0.5015
0.9951 0.2523 0.2523
0.9972 0.7465 0.7465
```

Entry 2:
Computed, not measured: crystalline Sr3Ca5FeCo7O24 at its relaxed geometry at the PBE+U level of DFT.

Calculated values
DFT total energy in eV for the cell shown: -240.55
Energy of formation in eV/atom: -1.967
Energy with MP2020 corrections in eV/atom: -6.77

Geometry as POSCAR:
```
Sr3Ca5FeCo7O24
1.0
5.3862 -5.3876 0.0000
5.3862 5.3876 0.0000
-0.0015 0.0000 7.6656
Sr Ca Fe Co O
3 5 1 7 24
Direct
0.0000 0.0000 0.0000
0.9996 0.4994 0.9997
0.4994 0.9996 0.9997
0.4994 0.4994 0.0011
0.4994 0.4994 0.4944
0.5003 0.9985 0.4950
0.9985 0.5003 0.4950
0.9993 0.9993 0.4947
0.7486 0.7486 0.7455
0.2504 0.2504 0.2506
0.2501 0.2501 0.7456
0.2504 0.7484 0.7448
0.2499 0.7487 0.2497
0.7484 0.2504 0.7448
0.7483 0.7483 0.2505
0.7487 0.2499 0.2497
0.0012 0.2515 0.2551
0.0024 0.7491 0.7407
0.2503 0.5014 0.7435
0.2499 0.7484 0.4963
0.2507 0.2507 0.4966
0.2511 0.9969 0.7417
0.2515 0.0012 0.2551
0.2517 0.4979 0.2531
0.2529 0.2529 0.0005
0.2536 0.7457 0.9991
0.4959 0.7460 0.7420
0.4979 0.2517 0.2531
0.4999 0.7458 0.2519
0.5014 0.2503 0.7435
0.7457 0.2536 0.9991
0.7460 0.4959 0.7420
0.7458 0.4999 0.2519
0.7466 0.7466 0.0021
0.7484 0.2499 0.4963
0.7479 0.7479 0.4920
0.7491 0.0024 0.7407
0.7496 0.9987 0.2548
0.9969 0.2511 0.7417
0.9987 0.7496 0.2548
```

Entry 3:
Computed, not measured: crystalline Sr7CaFe7CoO24 at its relaxed geometry at the PBE+U level of DFT.

Calculated values
DFT total energy in eV for the cell shown: -252.41
Energy of formation in eV/atom: -2.184
Energy with MP2020 corrections in eV/atom: -7.16

Geometry as POSCAR:
```
Sr7CaFe7CoO24
1.0
5.5145 3.1838 4.5014
-5.5145 3.1838 4.5014
0.0000 -6.3676 4.5014
Sr Ca Fe Co O
7 1 7 1 24
Direct
0.0000 0.0000 0.0000
0.0001 0.0001 0.4974
0.0001 0.4974 0.0001
0.0002 0.4975 0.4975
0.4974 0.0001 0.0001
0.4975 0.0002 0.4975
0.4975 0.4975 0.0002
0.4976 0.4976 0.4976
0.2493 0.2493 0.7482
0.2493 0.7482 0.2493
0.2493 0.7483 0.7483
0.7482 0.2493 0.2493
0.7483 0.2493 0.7483
0.7483 0.7483 0.2493
0.7483 0.7483 0.7483
0.2492 0.2492 0.2492
0.9998 0.7485 0.7485
0.0028 0.2489 0.2489
0.2489 0.0028 0.2489
0.2489 0.2489 0.0028
0.2490 0.7486 0.9978
0.2490 0.9978 0.7486
0.2512 0.2512 0.4948
0.2512 0.4948 0.2512
0.2511 0.4998 0.7465
0.2511 0.7465 0.4998
0.4948 0.2512 0.2512
0.4978 0.7466 0.7466
0.4998 0.2511 0.7465
0.4998 0.7465 0.2511
0.7465 0.2511 0.4998
0.7466 0.4978 0.7466
0.7465 0.4998 0.2511
0.7466 0.7466 0.4978
0.7485 0.9998 0.7485
0.7486 0.2490 0.9978
0.7485 0.7485 0.9998
0.7486 0.9978 0.2490
0.9978 0.2490 0.7486
0.9978 0.7486 0.2490
```

- energy with MP2020 corrections of number 3 (Sr7CaFe7CoO24)?
  -7.16 eV/atom